A relaxed structure of V2O5, computed with PBE+U.

Calculated values
M_tot: 4.00 μB/cell
energy of formation from the pure elements: -1760 meV per atom
space group: No. 1
electronic total energy: -51.02 eV per formula unit

Cell lengths 11.6141, 12.5150, 12.5936 Å; angles 87.68, 87.98, 89.19 degrees
Closest atoms and distances in Å follow each position.
Positions (direct):
V (0.0000, 0.0000, 0.0000)  2 O 1.73-1.83
V (0.0029, 0.5281, 0.6698)  2 O 1.62-1.77
V (0.0214, 0.3312, 0.5051)  2 O 1.61-1.80
V (0.1009, 0.0707, 0.5411)  2 O 1.61-1.75
V (0.1526, 0.2091, 0.1068)  3 O 1.62-1.81
V (0.1567, 0.8403, 0.1104)  3 O 1.75-1.89
V (0.1710, 0.8094, 0.3295)  1 O 1.61
V (0.1876, 0.3982, 0.2810)  4 O 1.71-1.76
V (0.2026, 0.4567, 0.7540)  3 O 1.74-1.91
V (0.2495, 0.2676, 0.8724)  4 O 1.69-1.82
V (0.2625, 0.6454, 0.1503)  3 O 1.69-1.87
V (0.3132, 0.0013, 0.9323)  3 O 1.61-1.79
V (0.3312, 0.7101, 0.7601)  2 O 1.63-1.68
V (0.3626, 0.0160, 0.3971)  1 O 1.61
V (0.4047, 0.7297, 0.3837)  3 O 1.71-1.82
V (0.4366, 0.2855, 0.3911)  4 O 1.72-1.83
V (0.4982, 0.0577, 0.1373)  2 O 1.61-1.78
V (0.5033, 0.5002, 0.5237)  2 O 1.60-1.79
V (0.5062, 0.6111, 0.9646)  2 O 1.61-1.74
V (0.6112, 0.8105, 0.5618)  2 O 1.61-1.78
V (0.6199, 0.6870, 0.2032)  3 O 1.71-1.87
V (0.6271, 0.0475, 0.6938)  1 O 1.60
V (0.7036, 0.5139, 0.3325)  2 O 1.61-1.74
V (0.7703, 0.9386, 0.1808)  1 O 1.62
V (0.7813, 0.6451, 0.8241)  4 O 1.70-1.85
V (0.7992, 0.3890, 0.7063)  2 O 1.63
V (0.8069, 0.9167, 0.8331)  4 O 1.77-1.94
V (0.8359, 0.9662, 0.5459)  3 O 1.67-1.76
V (0.8899, 0.7537, 0.0368)  4 O 1.83-1.94
V (0.9318, 0.6704, 0.2425)  2 O 1.64-1.70
O (0.0029, 0.6436, 0.6074)  1 V 1.62
O (0.0174, 0.8394, 0.0240)  3 V 1.84-2.03
O (0.0507, 0.1401, 0.0373)  2 V 1.75-1.94
O (0.0657, 0.5325, 0.7953)  2 V 1.77-1.91
O (0.0826, 0.8096, 0.4306)  1 V 1.61
O (0.0840, 0.7361, 0.2249)  3 V 1.95-2.07
O (0.0963, 0.2158, 0.5587)  2 V 1.80-1.84
O (0.1109, 0.3062, 0.2089)  2 V 1.76-1.85
O (0.1176, 0.4030, 0.4072)  2 V 1.76-1.85
O (0.1235, 0.0168, 0.6566)  1 V 1.61
O (0.1268, 0.3184, 0.8200)  1 V 1.70
O (0.1333, 0.9200, 0.2229)  2 V 1.78-1.95
O (0.1345, 0.4519, 0.6238)  2 V 1.85-1.88
O (0.1764, 0.6851, 0.0493)  1 V 1.70
O (0.1794, 0.9537, 0.0081)  2 V 1.88-1.89
O (0.1959, 0.5197, 0.2082)  2 V 1.75-1.87
O (0.2067, 0.7710, 0.7734)  1 V 1.63
O (0.2097, 0.0316, 0.4502)  2 V 1.75-1.89
O (0.2384, 0.1216, 0.1616)  1 V 1.62
O (0.2408, 0.2879, 0.0126)  2 V 1.79-1.81
O (0.2623, 0.6835, 0.3244)  2 V 1.89-1.94
O (0.2816, 0.1252, 0.8621)  2 V 1.79-1.82
O (0.2929, 0.5668, 0.7459)  2 V 1.74-1.87
O (0.2943, 0.7998, 0.1494)  1 V 1.75
O (0.3148, 0.8618, 0.3794)  3 V 1.94-2.04
O (0.3263, 0.3552, 0.2979)  1 V 1.71
O (0.3364, 0.3591, 0.8097)  1 V 1.69
O (0.3540, 0.9157, 0.8464)  1 V 1.61
O (0.3631, 0.1683, 0.4143)  1 V 1.72
O (0.3876, 0.6068, 0.0906)  1 V 1.69
O (0.4070, 0.7581, 0.6530)  1 V 1.68
O (0.4175, 0.6063, 0.4582)  2 V 1.78-1.84
O (0.4189, 0.6936, 0.8867)  2 V 1.74-1.93
O (0.4232, 0.0028, 0.0260)  2 V 1.77-1.84
O (0.4312, 0.3750, 0.4980)  2 V 1.78-1.83
O (0.4338, 0.0211, 0.2669)  2 V 1.81-1.82
O (0.4581, 0.9910, 0.4846)  1 V 1.61
O (0.4746, 0.7194, 0.2625)  2 V 1.71-1.87
O (0.4869, 0.4866, 0.9453)  1 V 1.61
O (0.4943, 0.1855, 0.1179)  1 V 1.61
O (0.4991, 0.5186, 0.6489)  1 V 1.60
O (0.5082, 0.1110, 0.7140)  1 V 1.60
O (0.5227, 0.7905, 0.4490)  2 V 1.81-1.82
O (0.5495, 0.3032, 0.2873)  1 O 1.45
O (0.5823, 0.5402, 0.2584)  1 V 1.74
O (0.5868, 0.2430, 0.3806)  1 O 1.45
O (0.5916, 0.9120, 0.6557)  2 V 1.78-1.84
O (0.6130, 0.6588, 0.0717)  1 V 1.71
O (0.6430, 0.6251, 0.8686)  1 V 1.70
O (0.6453, 0.0172, 0.1321)  2 V 1.78-1.85
O (0.6488, 0.5052, 0.4709)  2 V 1.79-1.83
O (0.6510, 0.6972, 0.6148)  1 V 1.61
O (0.6574, 0.8188, 0.1993)  1 V 1.71
O (0.6704, 0.3646, 0.6658)  1 V 1.63
O (0.6889, 0.0072, 0.8237)  2 V 1.77-1.86
O (0.7158, 0.0710, 0.5486)  1 O 1.45
O (0.7324, 0.1471, 0.6300)  1 O 1.45
O (0.7548, 0.8611, 0.5004)  2 V 1.75-1.92
O (0.7586, 0.6455, 0.2750)  3 V 1.88-2.06
O (0.7745, 0.4099, 0.2941)  1 V 1.61
O (0.7889, 0.9743, 0.3009)  1 V 1.62
O (0.7953, 0.8489, 0.9672)  2 V 1.83-1.86
O (0.7966, 0.7784, 0.7762)  2 V 1.76-1.91
O (0.8341, 0.3011, 0.7993)  1 V 1.63
O (0.8361, 0.5357, 0.7408)  2 V 1.85-1.96
O (0.8561, 0.9518, 0.6764)  1 V 1.67
O (0.8638, 0.6462, 0.9343)  1 V 1.72
O (0.8639, 0.8028, 0.1757)  3 V 1.89-2.01
O (0.8845, 0.0048, 0.1029)  2 V 1.81-1.83
O (0.9248, 0.4038, 0.6004)  3 V 1.87-2.05
O (0.9290, 0.2776, 0.4323)  1 V 1.61
O (0.9368, 0.9970, 0.8778)  2 V 1.73-1.94
O (0.9376, 0.6160, 0.1206)  1 V 1.70
O (0.9571, 0.5849, 0.3411)  1 V 1.64
O (0.9652, 0.0187, 0.4894)  2 V 1.76-1.86

A relaxed structure of V2O5, computed with PBE+U.

Calculated values
M_tot: 0.12 μB/cell
energy of formation from the pure elements: -2263 meV per atom
space group: No. 13
electronic total energy: -51.91 eV per formula unit

Cell lengths 15.3365, 4.9105, 21.0599 Å; angles 90.00, 108.51, 90.00 degrees
Closest atoms and distances in Å follow each position.
Positions (direct):
V (0.0088, 0.0842, 0.4300)  1 O 1.61
V (0.0088, 0.9158, 0.9300)  1 O 1.61
V (0.0962, 0.1533, 0.2312)  1 O 1.61
V (0.0962, 0.8467, 0.7312)  1 O 1.61
V (0.2008, 0.0886, 0.0282)  2 O 1.61-1.79
V (0.2008, 0.9114, 0.5282)  2 O 1.61-1.79
V (0.2202, 0.0824, 0.3885)  1 O 1.61
V (0.2202, 0.9176, 0.8885)  1 O 1.61
V (0.3562, 0.0800, 0.1821)  3 O 1.61-1.80
V (0.3562, 0.9200, 0.6821)  3 O 1.61-1.80
V (0.4060, 0.1103, 0.9811)  1 O 1.61
V (0.4060, 0.8897, 0.4811)  1 O 1.61
V (0.4341, 0.0741, 0.3451)  1 O 1.61
V (0.4341, 0.9259, 0.8451)  1 O 1.61
V (0.5659, 0.0741, 0.1549)  1 O 1.61
V (0.5659, 0.9259, 0.6549)  1 O 1.61
V (0.5940, 0.1103, 0.5189)  1 O 1.61
V (0.5940, 0.8897, 0.0189)  1 O 1.61
V (0.6438, 0.0800, 0.3179)  3 O 1.61-1.80
V (0.6438, 0.9200, 0.8179)  3 O 1.61-1.80
V (0.7798, 0.0824, 0.1115)  1 O 1.61
V (0.7798, 0.9176, 0.6115)  1 O 1.61
V (0.7992, 0.0886, 0.4718)  2 O 1.61-1.79
V (0.7992, 0.9114, 0.9718)  2 O 1.61-1.79
V (0.9038, 0.1533, 0.2688)  1 O 1.61
V (0.9038, 0.8467, 0.7688)  1 O 1.61
V (0.9912, 0.0842, 0.0700)  1 O 1.61
V (0.9912, 0.9158, 0.5700)  1 O 1.61
O (0.0000, 0.3107, 0.2500)  2 V 1.82
O (0.0000, 0.6893, 0.7500)  2 V 1.82
O (0.0032, 0.4103, 0.4232)  1 V 1.61
O (0.0032, 0.5897, 0.9232)  1 V 1.61
O (0.0512, 0.0388, 0.6539)  2 V 1.82
O (0.0512, 0.9612, 0.1539)  2 V 1.82
O (0.0809, 0.0113, 0.5284)  3 V 1.90-2.05
O (0.0809, 0.9887, 0.0284)  3 V 1.90-2.05
O (0.1299, 0.0091, 0.9299)  3 V 1.91-2.05
O (0.1299, 0.9909, 0.4299)  3 V 1.91-2.05
O (0.1575, 0.0406, 0.8052)  2 V 1.81-1.82
O (0.1575, 0.9594, 0.3052)  2 V 1.81-1.82
O (0.1641, 0.3839, 0.2195)  1 V 1.61
O (0.1641, 0.6161, 0.7195)  1 V 1.61
O (0.2057, 0.4152, 0.0328)  1 V 1.61
O (0.2057, 0.5848, 0.5328)  1 V 1.61
O (0.2152, 0.4083, 0.3814)  1 V 1.61
O (0.2152, 0.5917, 0.8814)  1 V 1.61
O (0.2599, 0.0329, 0.6107)  2 V 1.79-1.83
O (0.2599, 0.9671, 0.1107)  2 V 1.79-1.83
O (0.2941, 0.0129, 0.4885)  3 V 1.87-2.08
O (0.2941, 0.9871, 0.9885)  3 V 1.87-2.08
O (0.3397, 0.0233, 0.8879)  3 V 1.91-1.99
O (0.3397, 0.9767, 0.3879)  3 V 1.91-1.99
O (0.3544, 0.0196, 0.7641)  2 V 1.80-1.82
O (0.3544, 0.9804, 0.2641)  2 V 1.80-1.82
O (0.3584, 0.4085, 0.1799)  1 V 1.61
O (0.3584, 0.5915, 0.6799)  1 V 1.61
O (0.4030, 0.4354, 0.9893)  1 V 1.61
O (0.4030, 0.5646, 0.4893)  1 V 1.61
O (0.4376, 0.4011, 0.3456)  1 V 1.61
O (0.4376, 0.5989, 0.8456)  1 V 1.61
O (0.4607, 0.0334, 0.6708)  2 V 1.78-1.83
O (0.4607, 0.9666, 0.1708)  2 V 1.78-1.83
O (0.4954, 0.0236, 0.5568)  3 V 1.86-2.06
O (0.4954, 0.9764, 0.0568)  3 V 1.86-2.06
O (0.5046, 0.0236, 0.9432)  3 V 1.86-2.06
O (0.5046, 0.9764, 0.4432)  3 V 1.86-2.06
O (0.5393, 0.0334, 0.8292)  2 V 1.78-1.83
O (0.5393, 0.9666, 0.3292)  2 V 1.78-1.83
O (0.5624, 0.4011, 0.1544)  1 V 1.61
O (0.5624, 0.5989, 0.6544)  1 V 1.61
O (0.5970, 0.4354, 0.5107)  1 V 1.61
O (0.5970, 0.5646, 0.0107)  1 V 1.61
O (0.6416, 0.4085, 0.3201)  1 V 1.61
O (0.6416, 0.5915, 0.8201)  1 V 1.61
O (0.6456, 0.0196, 0.7359)  2 V 1.80-1.82
O (0.6456, 0.9804, 0.2359)  2 V 1.80-1.82
O (0.6603, 0.0233, 0.6121)  3 V 1.91-1.99
O (0.6603, 0.9767, 0.1121)  3 V 1.91-1.99
O (0.7059, 0.0129, 0.0115)  3 V 1.87-2.08
O (0.7059, 0.9871, 0.5115)  3 V 1.87-2.08
O (0.7401, 0.0329, 0.8893)  2 V 1.79-1.83
O (0.7401, 0.9671, 0.3893)  2 V 1.79-1.83
O (0.7848, 0.4083, 0.1186)  1 V 1.61
O (0.7848, 0.5917, 0.6186)  1 V 1.61
O (0.7943, 0.4152, 0.4672)  1 V 1.61
O (0.7943, 0.5848, 0.9672)  1 V 1.61
O (0.8359, 0.3839, 0.2805)  1 V 1.61
O (0.8359, 0.6161, 0.7805)  1 V 1.61
O (0.8425, 0.0406, 0.6948)  2 V 1.81-1.82
O (0.8425, 0.9594, 0.1948)  2 V 1.81-1.82
O (0.8701, 0.0091, 0.5701)  3 V 1.91-2.05
O (0.8701, 0.9909, 0.0701)  3 V 1.91-2.05
O (0.9191, 0.0113, 0.9716)  3 V 1.90-2.05
O (0.9191, 0.9887, 0.4716)  3 V 1.90-2.05
O (0.9488, 0.0388, 0.8461)  2 V 1.82
O (0.9488, 0.9612, 0.3461)  2 V 1.82
O (0.9968, 0.4103, 0.0768)  1 V 1.61
O (0.9968, 0.5897, 0.5768)  1 V 1.61

A relaxed structure of V2O5, computed with PBE+U.

Calculated values
energy of formation from the pure elements: -2259 meV per atom
space group: No. 12
electronic total energy: -51.89 eV per formula unit

Cell lengths 8.0280, 8.0280, 10.3294 Å; angles 108.27, 108.27, 26.21 degrees
Closest atoms and distances in Å follow each position.
Positions (direct):
V (0.1154, 0.1154, 0.1134)  2 O 1.62-1.81
V (0.2884, 0.2884, 0.4110)  1 O 1.60
V (0.3372, 0.3372, 0.1076)  1 O 1.60
V (0.6628, 0.6628, 0.8924)  1 O 1.60
V (0.7116, 0.7116, 0.5890)  1 O 1.60
V (0.8846, 0.8846, 0.8866)  2 O 1.62-1.81
O (0.0000, 0.0000, 0.0000)  2 V 1.81
O (0.1067, 0.1067, 0.2654)  1 V 1.62
O (0.1840, 0.1840, 0.9453)  2 V 1.90
O (0.2452, 0.2452, 0.5753)  3 V 1.91-2.02
O (0.2631, 0.2631, 0.2213)  2 V 1.87-1.90
O (0.3651, 0.3651, 0.9266)  3 V 1.91-2.05
O (0.3962, 0.3962, 0.4686)  1 V 1.60
O (0.4367, 0.4367, 0.2173)  1 V 1.60
O (0.5633, 0.5633, 0.7827)  1 V 1.60
O (0.6038, 0.6038, 0.5314)  1 V 1.60
O (0.6349, 0.6349, 0.0734)  3 V 1.91-2.05
O (0.7369, 0.7369, 0.7787)  2 V 1.87-1.90
O (0.7548, 0.7548, 0.4247)  3 V 1.91-2.02
O (0.8160, 0.8160, 0.0547)  2 V 1.90
O (0.8933, 0.8933, 0.7346)  1 V 1.62